Density functional theory data (PBE) for a relaxed Na14Ca4La4Si5S7O48 crystal.

Computed properties:
M_tot, μB per formula unit: 0.0
Calculated formation energy, meV per atom: -2674
Electronic total energy, Ry per atom: -0.472

abc: 9.6175 16.7045 23.6432
angles: 90.27 90.06 90.05
Last column: nearest neighbours and their distance in Å.
Space group P1 (No. 1)
Inequivalent atoms, fractional coordinates:
1 Na 0.0000 0.0000 0.0000 x1  5 O 2.60-2.89
2 Na 0.0001 0.6726 0.6758 x1  3 O 2.48-2.69
3 Na 0.0190 0.3483 0.0163 x1  6 O 2.56-2.75
4 Na 0.0597 0.0053 0.3330 x1  3 O 2.37-2.59
5 Na 0.1560 0.8537 0.7515 x1  3 O 2.41-2.48
6 Na 0.1612 0.8560 0.2519 x1  2 O 2.32-2.44
7 Na 0.1630 0.4874 0.0880 x1  4 O 2.44-2.67
8 Na 0.1672 0.5061 0.5905 x1  5 O 2.51-2.77
9 Na 0.1684 0.1416 0.4189 x1  2 O 2.36-2.40
10 Na 0.1753 0.1442 0.9224 x1  2 O 2.32-2.42
11 Na 0.2796 0.9976 0.8403 x1  2 O 2.38-2.43
12 Na 0.3212 0.3409 0.5083 x1  6 O 2.52-2.81
13 Na 0.3227 0.6594 0.1595 x1  3 O 2.43-2.67
14 Na 0.3313 0.0179 0.5004 x1  6 O 2.63-2.84
15 Na 0.3327 0.9877 0.1713 x1  4 O 2.51-2.78
16 Na 0.3654 0.3303 0.8421 x1  4 O 2.49-2.67
17 Na 0.3678 0.6713 0.8449 x1  3 O 2.45-2.60
18 Na 0.4696 0.8317 0.3358 x1  4 O 2.48-2.68
19 Na 0.4709 0.1689 0.3373 x1  4 O 2.44-2.67
20 Na 0.5081 0.4951 0.6852 x1  3 O 2.46-2.74
21 Na 0.5087 0.5233 0.0019 x1  3 O 2.52-2.73
22 Na 0.5152 0.1584 0.6686 x1  3 O 2.43-2.66
23 Na 0.5406 0.8383 0.0089 x1  2 O 2.41-2.49
24 Na 0.5597 0.5023 0.3276 x1  3 O 2.41-2.48
25 Na 0.6560 0.6494 0.4203 x1  2 O 2.42-2.46
26 Na 0.6664 0.9840 0.5934 x1  2 O 2.35-2.49
27 Na 0.6761 0.3528 0.2452 x1  3 O 2.37-2.56
28 Na 0.6773 0.6628 0.9303 x1  3 O 2.38-2.64
29 Na 0.6791 0.3551 0.7591 x1  2 O 2.34-2.49
30 Na 0.6801 0.9910 0.0797 x1  3 O 2.41-2.69
31 Na 0.7747 0.5068 0.8439 x1  3 O 2.35-2.59
32 Na 0.8145 0.8501 0.5172 x1  5 O 2.52-2.78
33 Na 0.8298 0.5190 0.4979 x1  4 O 2.49-2.73
34 Na 0.8353 0.1690 0.1684 x1  3 O 2.52-2.73
35 Na 0.8420 0.4846 0.1696 x1  2 O 2.38-2.58
36 Na 0.8546 0.1402 0.5037 x1  2 O 2.37-2.39
37 Na 0.8627 0.1697 0.8431 x1  3 O 2.51-2.72
38 Na 0.8707 0.8225 0.8399 x1  4 O 2.43-2.60
39 Na 0.9632 0.6529 0.9992 x1  2 O 2.38-2.58
40 Na 0.9702 0.3240 0.3157 x1  2 O 2.32-2.59
41 Na 0.9700 0.6752 0.3349 x1  4 O 2.48-2.70
42 Na 0.9934 0.9827 0.6781 x1  3 O 2.40-2.66
43 Ca 0.1552 0.8400 0.9080 x1  5 O 2.19-2.45
44 Ca 0.1641 0.1683 0.2663 x1  5 O 2.18-2.42
45 Ca 0.1658 0.1627 0.7677 x1  3 O 2.13-2.36
46 Ca 0.1673 0.1608 0.5730 x1  3 O 2.14-2.36
47 Ca 0.1689 0.5020 0.9349 x1  6 O 2.20-2.40
48 Ca 0.1693 0.8436 0.4064 x1  4 O 2.16-2.38
49 Ca 0.6649 0.0009 0.4348 x1  6 O 2.21-2.43
50 Ca 0.6668 0.3426 0.9070 x1  5 O 2.15-2.40
51 Ca 0.6709 0.6633 0.2669 x1  4 O 2.15-2.39
52 Ca 0.6725 0.6683 0.7674 x1  6 O 2.19-2.45
53 Ca 0.6732 0.3421 0.4046 x1  5 O 2.16-2.40
54 Ca 0.6728 0.6660 0.0720 x1  5 O 2.19-2.39
55 La 0.1501 0.8431 0.0995 x1  3 O 2.16-2.31
56 La 0.1622 0.4937 0.7406 x1  6 O 2.26-2.53
57 La 0.1703 0.8445 0.6038 x1  4 O 2.23-2.48
58 La 0.1705 0.1653 0.0737 x1  4 O 2.24-2.40
59 La 0.1705 0.4874 0.2335 x1  5 O 2.26-2.52
60 La 0.1749 0.5068 0.4336 x1  6 O 2.27-2.50
61 La 0.6638 0.0024 0.9359 x1  6 O 2.28-2.50
62 La 0.6648 0.3435 0.1025 x1  4 O 2.23-2.45
63 La 0.6647 0.6672 0.5748 x1  4 O 2.26-2.39
64 La 0.6669 0.9869 0.7358 x1  4 O 2.27-2.41
65 La 0.6745 0.3440 0.6034 x1  3 O 2.21-2.39
66 La 0.6737 0.9940 0.2391 x1  6 O 2.26-2.49
67 Si 0.0065 0.3201 0.1708 x1  4 O 1.64-1.66
68 Si 0.0096 0.9911 0.5006 x1  4 O 1.64-1.66
69 Si 0.0129 0.0159 0.1740 x1  4 O 1.63-1.66
70 Si 0.3210 0.9888 0.0026 x1  4 O 1.64-1.66
71 Si 0.3244 0.0197 0.6693 x1  4 O 1.63-1.67
72 Si 0.3599 0.0021 0.3378 x1  4 O 1.64-1.67
73 Si 0.4750 0.5014 0.8352 x1  4 O 1.64-1.68
74 Si 0.5112 0.4876 0.5028 x1  4 O 1.63-1.67
75 Si 0.5145 0.5204 0.1713 x1  4 O 1.63-1.67
76 Si 0.8250 0.5167 0.6703 x1  4 O 1.62-1.67
77 Si 0.8276 0.8198 0.6693 x1  4 O 1.62-1.67
78 Si 0.8289 0.4901 0.0010 x1  4 O 1.64-1.67
79 Si 0.8518 0.8309 0.9966 x1  4 O 1.63-1.67
80 Si 0.8610 0.5023 0.3397 x1  4 O 1.65-1.67
81 Si 0.9781 0.0033 0.8363 x1  4 O 1.65-1.66
82 S 0.0130 0.3438 0.8411 x1  4 O 1.48-1.50
83 S 0.0142 0.6837 0.5013 x1  4 O 1.48-1.51
84 S 0.0180 0.6552 0.8379 x1  4 O 1.48-1.50
85 S 0.3188 0.3167 0.6686 x1  4 O 1.48-1.51
86 S 0.3190 0.6816 0.0020 x1  4 O 1.48-1.50
87 S 0.3225 0.6601 0.3335 x1  4 O 1.48-1.50
88 S 0.3256 0.3418 0.3421 x1  4 O 1.48-1.50
89 S 0.3555 0.3364 0.9975 x1  4 O 1.48-1.50
90 S 0.3579 0.6646 0.6746 x1  4 O 1.47-1.51
91 S 0.4770 0.1664 0.1762 x1  4 O 1.48-1.50
92 S 0.4798 0.8357 0.4975 x1  4 O 1.48-1.50
93 S 0.5063 0.8411 0.8401 x1  4 O 1.48-1.49
94 S 0.5122 0.8160 0.1716 x1  4 O 1.47-1.50
95 S 0.5152 0.1603 0.8324 x1  4 O 1.49
96 S 0.5156 0.1845 0.5016 x1  4 O 1.48-1.50
97 S 0.8199 0.1554 0.3405 x1  4 O 1.49-1.50
98 S 0.8218 0.8436 0.3422 x1  4 O 1.48-1.50
99 S 0.8226 0.1857 0.0010 x1  4 O 1.48-1.50
100 S 0.8628 0.1687 0.6704 x1  4 O 1.48-1.50
101 S 0.9741 0.6687 0.1727 x1  4 O 1.48-1.50
102 S 0.9785 0.3317 0.5005 x1  4 O 1.48-1.50
103 O 0.9999 0.4999 0.0017 x1  1 Si 1.65
104 O 0.0010 0.8211 0.6709 x1  1 Si 1.67
105 O 0.0314 0.3965 0.7906 x1  1 S 1.50
106 O 0.0448 0.9346 0.5564 x1  1 Si 1.66
107 O 0.0492 0.6040 0.8875 x1  1 S 1.49
108 O 0.0517 0.0677 0.1168 x1  1 Si 1.65
109 O 0.0525 0.5911 0.1731 x1  1 S 1.50
110 O 0.0544 0.2770 0.2298 x1  1 Si 1.64
111 O 0.0572 0.4149 0.1662 x1  1 Si 1.66
112 O 0.0611 0.2736 0.1136 x1  1 Si 1.64
113 O 0.0638 0.5983 0.5027 x1  1 S 1.51
114 O 0.0643 0.7234 0.5533 x1  1 S 1.48
115 O 0.0639 0.7253 0.4500 x1  1 S 1.48
116 O 0.0650 0.4066 0.4981 x1  1 S 1.50
117 O 0.0682 0.0606 0.2312 x1  1 Si 1.63
118 O 0.0690 0.3854 0.8916 x1  1 S 1.48
119 O 0.0688 0.6142 0.7852 x1  1 S 1.50
120 O 0.0714 0.9202 0.8354 x1  1 Si 1.65
121 O 0.0724 0.2622 0.5072 x1  1 S 1.48
122 O 0.0765 0.9482 0.4444 x1  1 Si 1.64
123 O 0.0777 0.0845 0.8376 x1  1 Si 1.66
124 O 0.0791 0.7345 0.1706 x1  1 S 1.49
125 O 0.0810 0.0817 0.5038 x1  1 Si 1.66
126 O 0.0886 0.2669 0.8335 x1  1 S 1.49
127 O 0.0908 0.7334 0.8410 x1  1 S 1.48
128 O 0.0933 0.9283 0.1732 x1  1 Si 1.66
129 O 0.2365 0.0756 0.0036 x1  1 Si 1.66
130 O 0.2484 0.7373 0.3422 x1  1 S 1.49
131 O 0.2475 0.9307 0.6701 x1  1 Si 1.66
132 O 0.2522 0.2645 0.3342 x1  1 S 1.48
133 O 0.2557 0.2683 0.0003 x1  1 S 1.49
134 O 0.2577 0.5998 0.9987 x1  1 S 1.49
135 O 0.2593 0.7320 0.6704 x1  1 S 1.48
136 O 0.2621 0.9197 0.3356 x1  1 Si 1.67
137 O 0.2617 0.9430 0.9462 x1  1 Si 1.64
138 O 0.2638 0.0844 0.3361 x1  1 Si 1.66
139 O 0.2653 0.6205 0.2823 x1  1 S 1.48
140 O 0.2646 0.7202 0.0548 x1  1 S 1.50
141 O 0.2668 0.0658 0.7255 x1  1 Si 1.63
142 O 0.2687 0.2776 0.6160 x1  1 S 1.48
143 O 0.2704 0.2753 0.7200 x1  1 S 1.48
144 O 0.2703 0.3797 0.3949 x1  1 S 1.50
145 O 0.2728 0.4023 0.6682 x1  1 S 1.50
146 O 0.2743 0.4128 0.9990 x1  1 S 1.50
147 O 0.2745 0.5878 0.6743 x1  1 S 1.51
148 O 0.2815 0.7299 0.9517 x1  1 S 1.48
149 O 0.2866 0.9375 0.0610 x1  1 Si 1.66
150 O 0.2919 0.0693 0.6110 x1  1 Si 1.64
151 O 0.3021 0.3981 0.2945 x1  1 S 1.49
152 O 0.3029 0.6056 0.3830 x1  1 S 1.50
153 O 0.3378 0.4911 0.5032 x1  1 Si 1.67
154 O 0.3412 0.5151 0.1706 x1  1 Si 1.67
155 O 0.3544 0.8266 0.8443 x1  1 S 1.48
156 O 0.3561 0.8151 0.1730 x1  1 S 1.50
157 O 0.3600 0.1823 0.5043 x1  1 S 1.50
158 O 0.3632 0.1777 0.8292 x1  1 S 1.49
159 O 0.3666 0.5074 0.8883 x1  1 Si 1.64
160 O 0.3812 0.4909 0.7755 x1  1 Si 1.68
161 O 0.3840 0.1603 0.1263 x1  1 S 1.48
162 O 0.3874 0.8373 0.5477 x1  1 S 1.48
163 O 0.3949 0.1746 0.2288 x1  1 S 1.48
164 O 0.3961 0.8289 0.4449 x1  1 S 1.48
165 O 0.4386 0.3289 0.9448 x1  1 S 1.49
166 O 0.4419 0.6715 0.7265 x1  1 S 1.47
167 O 0.4494 0.3381 0.0474 x1  1 S 1.48
168 O 0.4486 0.6587 0.6240 x1  1 S 1.49
169 O 0.4591 0.0097 0.3939 x1  1 Si 1.64
170 O 0.4627 0.9932 0.2810 x1  1 Si 1.67
171 O 0.4739 0.6756 0.0046 x1  1 S 1.49
172 O 0.4749 0.6763 0.3299 x1  1 S 1.49
173 O 0.4759 0.3151 0.6698 x1  1 S 1.51
174 O 0.4776 0.3266 0.3452 x1  1 S 1.49
175 O 0.4919 0.9969 0.0033 x1  1 Si 1.65
176 O 0.4976 0.0136 0.6705 x1  1 Si 1.67
177 O 0.5288 0.8961 0.7915 x1  1 S 1.49
178 O 0.5368 0.1050 0.8808 x1  1 S 1.49
179 O 0.5449 0.4340 0.5604 x1  1 Si 1.66
180 O 0.5513 0.5740 0.1158 x1  1 Si 1.63
181 O 0.5558 0.2325 0.4516 x1  1 S 1.48
182 O 0.5594 0.9017 0.1701 x1  1 S 1.50
183 O 0.5601 0.0902 0.1763 x1  1 S 1.50
184 O 0.5621 0.7766 0.2240 x1  1 S 1.48
185 O 0.5620 0.9121 0.4992 x1  1 S 1.50
186 O 0.5628 0.7753 0.1202 x1  1 S 1.47
187 O 0.5643 0.8800 0.8919 x1  1 S 1.49
188 O 0.5692 0.5601 0.2311 x1  1 Si 1.65
189 O 0.5698 0.1220 0.7800 x1  1 S 1.49
190 O 0.5709 0.5835 0.8354 x1  1 Si 1.65
191 O 0.5718 0.4402 0.4478 x1  1 Si 1.63
192 O 0.5730 0.1020 0.4984 x1  1 S 1.49
193 O 0.5733 0.2226 0.5542 x1  1 S 1.50
194 O 0.5734 0.4192 0.8362 x1  1 Si 1.67
195 O 0.5753 0.2343 0.1714 x1  1 S 1.48
196 O 0.5789 0.7634 0.8327 x1  1 S 1.48
197 O 0.5795 0.7675 0.4997 x1  1 S 1.49
198 O 0.5900 0.4311 0.1694 x1  1 Si 1.66
199 O 0.5910 0.2374 0.8409 x1  1 S 1.49
200 O 0.5909 0.5756 0.5038 x1  1 Si 1.66
201 O 0.7453 0.7559 0.0057 x1  1 Si 1.63
202 O 0.7464 0.7665 0.3341 x1  1 S 1.49
203 O 0.7467 0.4273 0.6716 x1  1 Si 1.67
204 O 0.7524 0.2354 0.3442 x1  1 S 1.49
205 O 0.7525 0.5783 0.0050 x1  1 Si 1.65
206 O 0.7577 0.2350 0.6687 x1  1 S 1.50
207 O 0.7603 0.5630 0.7247 x1  1 Si 1.62
208 O 0.7603 0.9157 0.9989 x1  1 Si 1.67
209 O 0.7632 0.1151 0.2887 x1  1 S 1.50
210 O 0.7648 0.4203 0.3359 x1  1 Si 1.65
211 O 0.7663 0.4457 0.9444 x1  1 Si 1.64
212 O 0.7655 0.5848 0.3382 x1  1 Si 1.66
213 O 0.7661 0.8841 0.3931 x1  1 S 1.48
214 O 0.7715 0.2253 0.0532 x1  1 S 1.48
215 O 0.7729 0.2279 0.9498 x1  1 S 1.48
216 O 0.7747 0.1008 0.0021 x1  1 S 1.49
217 O 0.7752 0.7777 0.6093 x1  1 Si 1.66
218 O 0.7753 0.9142 0.6673 x1  1 Si 1.66
219 O 0.7797 0.7705 0.7251 x1  1 Si 1.62
220 O 0.7834 0.0917 0.6715 x1  1 S 1.50
221 O 0.7889 0.1056 0.3908 x1  1 S 1.49
222 O 0.7887 0.5640 0.6106 x1  1 Si 1.66
223 O 0.7951 0.4322 0.0566 x1  1 Si 1.67
224 O 0.8027 0.8971 0.2922 x1  1 S 1.50
225 O 0.8335 0.3197 0.1716 x1  1 Si 1.66
226 O 0.8379 0.9989 0.5006 x1  1 Si 1.66
227 O 0.8401 0.0114 0.1723 x1  1 Si 1.66
228 O 0.8581 0.6818 0.4993 x1  1 S 1.50
229 O 0.8609 0.3268 0.8450 x1  1 S 1.49
230 O 0.8645 0.6669 0.8356 x1  1 S 1.49
231 O 0.8756 0.0134 0.8920 x1  1 Si 1.65
232 O 0.8776 0.0002 0.7794 x1  1 Si 1.65
233 O 0.8836 0.6676 0.1222 x1  1 S 1.48
234 O 0.8858 0.3414 0.5505 x1  1 S 1.49
235 O 0.8912 0.6778 0.2254 x1  1 S 1.49
236 O 0.8924 0.3204 0.4492 x1  1 S 1.48
237 O 0.9401 0.8169 0.9385 x1  1 Si 1.63
238 O 0.9494 0.1684 0.6183 x1  1 S 1.49
239 O 0.9494 0.1787 0.7217 x1  1 S 1.48
240 O 0.9547 0.5091 0.3988 x1  1 Si 1.67
241 O 0.9627 0.8437 0.0492 x1  1 Si 1.65
242 O 0.9715 0.4963 0.2864 x1  1 Si 1.65
243 O 0.9737 0.1657 0.3369 x1  1 S 1.49
244 O 0.9737 0.8263 0.3459 x1  1 S 1.49
245 O 0.9786 0.1867 0.9996 x1  1 S 1.50
246 O 0.9975 0.5120 0.6710 x1  1 Si 1.66